## A
Here is NaGdTiO4 after structural relaxation from the Materials Project database. Energies are from GGA-PBE.

* space group: Pbcm (57)

a = 5.3110 Å, b = 5.4233 Å, c = 12.6541 Å
α = 90.00°, β = 90.00°, γ = 90.00°
With the nearest neighbours (Å) after each atom.
Fractional positions:
O 0.5000 0.7500 0.2155  2 Ti 1.97
O 0.0000 0.2500 0.2436  2 Ti 1.95
O 0.5000 0.2500 0.7845  2 Ti 1.97
O 0.2500 0.5416 0.4034  1 Ti 1.76
O 0.0000 0.2500 0.7845  2 Ti 1.97
O 0.7500 0.4584 0.5966  1 Ti 1.76
O 0.0000 0.7500 0.2155  2 Ti 1.97
O 0.2500 0.9351 0.9348  2 Gd 2.23-2.30
O 0.2500 0.0416 0.5966  1 Ti 1.76
O 0.7500 0.0649 0.0652  2 Gd 2.23-2.30
O 0.5000 0.2500 0.2436  2 Ti 1.95
O 0.7500 0.5649 0.9348  2 Gd 2.23-2.30
O 0.7500 0.9584 0.4034  1 Ti 1.76
O 0.2500 0.4351 0.0652  2 Gd 2.23-2.30
O 0.0000 0.7500 0.7564  2 Ti 1.95
O 0.5000 0.7500 0.7564  2 Ti 1.95
Na 0.7500 0.9917 0.5863  2 O 2.32-2.53
Na 0.2500 0.5083 0.5863  2 O 2.32-2.53
Na 0.7500 0.4917 0.4137  2 O 2.32-2.53
Na 0.2500 0.0083 0.4137  2 O 2.32-2.53
Ti 0.2500 0.5082 0.2652  5 O 1.76-1.97
Ti 0.7500 0.9918 0.2652  5 O 1.76-1.97
Ti 0.7500 0.4918 0.7348  5 O 1.76-1.97
Ti 0.2500 0.0082 0.7348  5 O 1.76-1.97
Gd 0.2500 0.0225 0.1066  4 O 2.23-2.42
Gd 0.2500 0.5225 0.8934  4 O 2.23-2.42
Gd 0.7500 0.9775 0.8934  4 O 2.23-2.42
Gd 0.7500 0.4775 0.1066  4 O 2.23-2.42

---

## B
Here is NaGdTiO4 after structural relaxation from the Materials Project database. Energies are from GGA-PBE.

* space group: P4/nmm (129)

a = 3.7419 Å, b = 3.7419 Å, c = 12.9122 Å
α = 90.00°, β = 90.00°, γ = 90.00°
With the nearest neighbours (Å) after each atom.
Fractional positions:
O 0.5000 0.5000 0.7717  2 Ti 1.93
O 0.0000 0.0000 0.2283  2 Ti 1.93
O 0.5000 0.0000 0.4036  1 Ti 1.77
O 0.0000 0.5000 0.5964  1 Ti 1.77
O 0.0000 0.0000 0.7717  2 Ti 1.93
O 0.5000 0.0000 0.0664  1 Gd 2.22
O 0.5000 0.5000 0.2283  2 Ti 1.93
O 0.0000 0.5000 0.9336  1 Gd 2.22
Gd 0.0000 0.5000 0.1058  5 O 2.22-2.45
Gd 0.5000 0.0000 0.8942  5 O 2.22-2.45
Ti 0.5000 0.0000 0.2665  5 O 1.77-1.93
Ti 0.0000 0.5000 0.7335  5 O 1.77-1.93
Na 0.0000 0.5000 0.4168  1 O 2.32
Na 0.5000 0.0000 0.5832  1 O 2.32

---

Quick one: least stable of them? B

---

## A
Here is Gd2P4O13 after structural relaxation from the Materials Project database. Energies are from GGA-PBE.

* space group: C222_1 (20)

a = 9.5810 Å, b = 9.5810 Å, c = 8.7088 Å
α = 90.00°, β = 90.00°, γ = 136.23°
With the nearest neighbours (Å) after each atom.
Fractional positions:
P 0.1613 0.2781 0.2280  4 O 1.50-1.60
P 0.0963 0.4148 0.4963  4 O 1.51-1.63
P 0.8387 0.7219 0.7280  4 O 1.50-1.60
P 0.9037 0.5852 0.9963  4 O 1.51-1.63
P 0.7219 0.8387 0.2720  4 O 1.50-1.60
P 0.4148 0.0963 0.5037  4 O 1.51-1.63
P 0.5852 0.9037 0.0037  4 O 1.51-1.63
P 0.2781 0.1613 0.7720  4 O 1.50-1.60
O 0.6147 0.8423 0.3948  1 P 1.50
O 0.5805 0.2598 0.3895  1 P 1.54
O 0.2598 0.5805 0.6105  1 P 1.54
O 0.7751 0.0656 0.9037  1 P 1.55
O 0.7002 0.7439 0.7065  1 P 1.50
O 0.0656 0.7751 0.0963  1 P 1.55
O 0.8423 0.6147 0.6052  1 P 1.50
O 0.3853 0.1577 0.8948  1 P 1.50
O 0.2103 0.3802 0.3921  2 P 1.60-1.63
O 0.9344 0.2249 0.5963  1 P 1.55
O 0.3802 0.2103 0.6079  2 P 1.60-1.63
O 0.2249 0.9344 0.4037  1 P 1.55
O 0.4195 0.7402 0.8895  1 P 1.54
O 0.6198 0.7897 0.1079  2 P 1.60-1.63
O 0.0620 0.9380 0.7500  2 P 1.58
O 0.4706 0.0178 0.6091  1 P 1.51
O 0.7897 0.6198 0.8921  2 P 1.60-1.63
O 0.7402 0.4195 0.1105  1 P 1.54
O 0.0178 0.4706 0.3909  1 P 1.51
O 0.5294 0.9822 0.1091  1 P 1.51
O 0.9380 0.0620 0.2500  2 P 1.58
O 0.1577 0.3853 0.1052  1 P 1.50
O 0.2998 0.2561 0.2065  1 P 1.50
O 0.9822 0.5294 0.8909  1 P 1.51
O 0.7439 0.7002 0.2935  1 P 1.50
O 0.2561 0.2998 0.7935  1 P 1.50
Gd 0.3997 0.1060 0.1459  6 O 2.27-2.45
Gd 0.8940 0.6003 0.3541  6 O 2.27-2.45
Gd 0.6003 0.8940 0.6459  6 O 2.27-2.45
Gd 0.1060 0.3997 0.8541  6 O 2.27-2.45

---

## B
Here is Gd2P4O13 after structural relaxation from the Materials Project database. Energies are from GGA-PBE.

* space group: P2_1/c (14)

a = 9.7632 Å, b = 8.9791 Å, c = 14.0518 Å
α = 73.35°, β = 90.00°, γ = 90.00°
With the nearest neighbours (Å) after each atom.
Fractional positions:
O 0.8637 0.7475 0.7815  1 P 1.55
O 0.6266 0.5561 0.0960  1 P 1.50
O 0.3226 0.8672 0.5399  2 P 1.60-1.62
O 0.1537 0.6180 0.1760  1 P 1.52
O 0.6690 0.8568 0.8625  1 P 1.51
O 0.1774 0.8672 0.0399  2 P 1.60-1.62
O 0.8696 0.6159 0.3089  1 P 1.51
O 0.1304 0.3841 0.6911  1 P 1.51
O 0.1223 0.5307 0.8782  1 P 1.50
O 0.2104 0.6705 0.4629  2 P 1.63
O 0.8687 0.1223 0.7878  1 P 1.51
O 0.7896 0.3295 0.5371  2 P 1.63
O 0.6347 0.2168 0.8294  1 P 1.56
O 0.8758 0.1146 0.1352  1 P 1.50
O 0.8310 0.8568 0.3625  1 P 1.51
O 0.2936 0.3962 0.5478  2 P 1.59-1.63
O 0.3758 0.8854 0.3648  1 P 1.50
O 0.1363 0.2525 0.2185  1 P 1.55
O 0.3463 0.6180 0.6760  1 P 1.52
O 0.2064 0.3962 0.0478  2 P 1.59-1.63
O 0.8653 0.2168 0.3294  1 P 1.56
O 0.3734 0.4439 0.9040  1 P 1.50
O 0.6313 0.1223 0.2878  1 P 1.51
O 0.2896 0.6705 0.9629  2 P 1.63
O 0.3696 0.3841 0.1911  1 P 1.51
O 0.1347 0.7832 0.6706  1 P 1.56
O 0.8463 0.3820 0.8240  1 P 1.52
O 0.6537 0.3820 0.3240  1 P 1.52
O 0.6223 0.4693 0.6218  1 P 1.50
O 0.7936 0.6038 0.9522  2 P 1.59-1.63
O 0.3653 0.7832 0.1706  1 P 1.56
O 0.3777 0.5307 0.3782  1 P 1.50
O 0.1350 0.9503 0.4141  1 P 1.50
O 0.6774 0.1328 0.4601  2 P 1.60-1.62
O 0.6350 0.0497 0.0859  1 P 1.50
O 0.8650 0.0497 0.5859  1 P 1.50
O 0.8777 0.4693 0.1218  1 P 1.50
O 0.1266 0.4439 0.4040  1 P 1.50
O 0.6242 0.1146 0.6352  1 P 1.50
O 0.6304 0.6159 0.8089  1 P 1.51
O 0.1690 0.1432 0.6375  1 P 1.51
O 0.3687 0.8777 0.7122  1 P 1.51
O 0.3637 0.2525 0.7185  1 P 1.55
O 0.8734 0.5561 0.5960  1 P 1.50
O 0.3310 0.1432 0.1375  1 P 1.51
O 0.6363 0.7475 0.2815  1 P 1.55
O 0.7064 0.6038 0.4522  2 P 1.59-1.63
O 0.3650 0.9503 0.9141  1 P 1.50
O 0.1242 0.8854 0.8648  1 P 1.50
O 0.8226 0.1328 0.9601  2 P 1.60-1.62
O 0.7104 0.3295 0.0371  2 P 1.63
O 0.1313 0.8777 0.2122  1 P 1.51
P 0.7607 0.1500 0.0615  4 O 1.50-1.63
P 0.2516 0.5069 0.4415  4 O 1.50-1.63
P 0.7484 0.4931 0.5585  4 O 1.50-1.63
P 0.2073 0.7825 0.1562  4 O 1.51-1.62
P 0.7927 0.2175 0.8438  4 O 1.51-1.62
P 0.2484 0.5069 0.9415  4 O 1.50-1.63
P 0.2671 0.2883 0.1529  4 O 1.51-1.63
P 0.2606 0.8500 0.4385  4 O 1.50-1.63
P 0.7393 0.1500 0.5615  4 O 1.50-1.63
P 0.2927 0.7825 0.6562  4 O 1.51-1.62
P 0.7516 0.4931 0.0585  4 O 1.50-1.63
P 0.7073 0.2175 0.3438  4 O 1.51-1.62
P 0.7671 0.7117 0.3471  4 O 1.51-1.63
P 0.7329 0.7117 0.8471  4 O 1.51-1.63
P 0.2394 0.8500 0.9385  4 O 1.50-1.63
P 0.2329 0.2883 0.6529  4 O 1.51-1.63
Gd 0.0049 0.9778 0.7209  6 O 2.24-2.43
Gd 0.4951 0.9778 0.2209  6 O 2.24-2.43
Gd 0.9951 0.0222 0.2791  6 O 2.24-2.43
Gd 0.9991 0.5510 0.7364  6 O 2.20-2.43
Gd 0.5009 0.5510 0.2364  6 O 2.20-2.43
Gd 0.4991 0.4490 0.7636  6 O 2.20-2.43
Gd 0.5049 0.0222 0.7791  6 O 2.24-2.43
Gd 0.0009 0.4490 0.2636  6 O 2.20-2.43

---

## C
Here is Gd2P4O13 after structural relaxation from the Materials Project database. Energies are from GGA-PBE.

* space group: P2_1/c (14)

a = 9.8566 Å, b = 8.8811 Å, c = 14.2106 Å
α = 74.62°, β = 90.00°, γ = 90.00°
With the nearest neighbours (Å) after each atom.
Fractional positions:
O 0.8432 0.6123 0.6028  1 P 1.52
O 0.2299 0.6425 0.2879  2 P 1.57-1.60
O 0.2237 0.1358 0.7917  2 P 1.59-1.62
O 0.7299 0.3575 0.2121  2 P 1.57-1.60
O 0.3739 0.7738 0.1451  1 P 1.51
O 0.8717 0.7847 0.8542  1 P 1.51
O 0.6403 0.8795 0.5404  1 P 1.52
O 0.8597 0.8795 0.0404  1 P 1.52
O 0.3432 0.3877 0.8972  1 P 1.52
O 0.2763 0.1358 0.2917  2 P 1.59-1.62
O 0.1208 0.7285 0.1247  1 P 1.50
O 0.7701 0.3575 0.7121  2 P 1.57-1.60
O 0.3660 0.6320 0.9548  1 P 1.52
O 0.8698 0.4796 0.0619  1 P 1.56
O 0.3712 0.0104 0.9386  1 P 1.55
O 0.6340 0.3680 0.0452  1 P 1.52
O 0.3698 0.5204 0.4381  1 P 1.56
O 0.7763 0.8642 0.2083  2 P 1.59-1.62
O 0.2701 0.6425 0.7879  2 P 1.57-1.60
O 0.8738 0.8651 0.3719  1 P 1.50
O 0.3738 0.1349 0.1281  1 P 1.50
O 0.1949 0.9299 0.2106  2 P 1.62
O 0.6262 0.8651 0.8719  1 P 1.50
O 0.1302 0.5204 0.9381  1 P 1.56
O 0.6283 0.7847 0.3542  1 P 1.51
O 0.8739 0.2262 0.3549  1 P 1.51
O 0.1403 0.1205 0.9596  1 P 1.52
O 0.3051 0.9299 0.7106  2 P 1.62
O 0.3717 0.2153 0.6458  1 P 1.51
O 0.1340 0.6320 0.4548  1 P 1.52
O 0.1288 0.0104 0.4386  1 P 1.55
O 0.3597 0.1205 0.4596  1 P 1.52
O 0.8660 0.3680 0.5452  1 P 1.52
O 0.6302 0.4796 0.5619  1 P 1.56
O 0.1565 0.8745 0.9010  1 P 1.52
O 0.1568 0.3877 0.3972  1 P 1.52
O 0.6261 0.2262 0.8549  1 P 1.51
O 0.1262 0.1349 0.6281  1 P 1.50
O 0.1283 0.2153 0.1458  1 P 1.51
O 0.6949 0.0701 0.2894  2 P 1.62
O 0.3792 0.7285 0.6247  1 P 1.50
O 0.8435 0.1255 0.0990  1 P 1.52
O 0.6568 0.6123 0.1028  1 P 1.52
O 0.6288 0.9896 0.0614  1 P 1.55
O 0.1261 0.7738 0.6451  1 P 1.51
O 0.6208 0.2715 0.3753  1 P 1.50
O 0.3435 0.8745 0.4010  1 P 1.52
O 0.8051 0.0701 0.7894  2 P 1.62
O 0.7237 0.8642 0.7083  2 P 1.59-1.62
O 0.6565 0.1255 0.5990  1 P 1.52
O 0.8712 0.9896 0.5614  1 P 1.55
O 0.8792 0.2715 0.8753  1 P 1.50
P 0.2674 0.7673 0.6861  4 O 1.50-1.62
P 0.7457 0.8903 0.3127  4 O 1.50-1.62
P 0.2784 0.0282 0.4034  4 O 1.52-1.62
P 0.7784 0.9718 0.0966  4 O 1.52-1.62
P 0.2793 0.5422 0.8996  4 O 1.52-1.60
P 0.2207 0.5422 0.3996  4 O 1.52-1.60
P 0.7207 0.4578 0.1004  4 O 1.52-1.60
P 0.7216 0.9718 0.5966  4 O 1.52-1.62
P 0.2326 0.7673 0.1861  4 O 1.50-1.62
P 0.7326 0.2327 0.3139  4 O 1.50-1.62
P 0.7543 0.8903 0.8127  4 O 1.50-1.62
P 0.2543 0.1097 0.6873  4 O 1.50-1.62
P 0.2457 0.1097 0.1873  4 O 1.50-1.62
P 0.7793 0.4578 0.6004  4 O 1.52-1.60
P 0.2216 0.0282 0.9034  4 O 1.52-1.62
P 0.7674 0.2327 0.8139  4 O 1.50-1.62
Gd 0.5061 0.7828 0.0137  6 O 2.23-2.44
Gd 0.9991 0.7182 0.9913  6 O 2.23-2.46
Gd 0.9939 0.7828 0.5137  6 O 2.23-2.44
Gd 0.0009 0.2818 0.0087  6 O 2.23-2.46
Gd 0.4939 0.2172 0.9863  6 O 2.23-2.44
Gd 0.5009 0.7182 0.4913  6 O 2.23-2.46
Gd 0.0061 0.2172 0.4863  6 O 2.23-2.44
Gd 0.4991 0.2818 0.5087  6 O 2.23-2.46

---

Quick one: least stable of them? C

---

## A
Here is GdP3O9 after structural relaxation from the Materials Project database. Energies are from GGA-PBE.

* space group: C222_1 (20)

a = 7.0301 Å, b = 7.0301 Å, c = 7.2863 Å
α = 90.00°, β = 90.00°, γ = 105.16°
With the nearest neighbours (Å) after each atom.
Fractional positions:
P 0.6653 0.3117 0.5437  4 O 1.49-1.62
P 0.2504 0.2504 0.0000  4 O 1.52-1.59
P 0.3117 0.6653 0.4563  4 O 1.49-1.62
P 0.7496 0.7496 0.5000  4 O 1.52-1.59
P 0.3347 0.6883 0.0437  4 O 1.49-1.62
P 0.6883 0.3347 0.9563  4 O 1.49-1.62
O 0.8677 0.8281 0.6707  1 P 1.52
O 0.5311 0.7855 0.9621  1 P 1.49
O 0.2145 0.4689 0.5379  1 P 1.49
O 0.2522 0.4719 0.9533  2 P 1.59-1.62
O 0.5281 0.7478 0.5467  2 P 1.59-1.62
O 0.3728 0.6272 0.2500  2 P 1.61
O 0.7888 0.1728 0.9666  1 P 1.49
O 0.4719 0.2522 0.0467  2 P 1.59-1.62
O 0.1719 0.1323 0.8293  1 P 1.52
O 0.8272 0.2112 0.5334  1 P 1.49
O 0.7478 0.5281 0.4533  2 P 1.59-1.62
O 0.4689 0.2145 0.4621  1 P 1.49
O 0.1728 0.7888 0.0334  1 P 1.49
O 0.6272 0.3728 0.7500  2 P 1.61
O 0.8281 0.8677 0.3293  1 P 1.52
O 0.2112 0.8272 0.4666  1 P 1.49
O 0.7855 0.5311 0.0379  1 P 1.49
O 0.1323 0.1719 0.1707  1 P 1.52
Gd 0.8741 0.8741 0.0000  6 O 2.34-2.42
Gd 0.1259 0.1259 0.5000  6 O 2.34-2.42

---

## B
Here is GdP3O9 after structural relaxation from the Materials Project database. Energies are from GGA-PBE.

* space group: C2/c (15)

a = 13.4715 Å, b = 13.4715 Å, c = 10.2441 Å
α = 84.19°, β = 84.19°, γ = 61.17°
With the nearest neighbours (Å) after each atom.
Fractional positions:
P 0.5486 0.4514 0.2500  4 O 1.50-1.60
P 0.2214 0.8577 0.0518  4 O 1.50-1.61
P 0.0397 0.4503 0.7102  4 O 1.50-1.61
P 0.4503 0.0397 0.2102  4 O 1.50-1.61
P 0.5497 0.9603 0.7898  4 O 1.50-1.61
P 0.6588 0.2382 0.4266  4 O 1.50-1.61
P 0.2706 0.3437 0.5640  4 O 1.50-1.62
P 0.9695 0.0305 0.7500  4 O 1.50-1.61
P 0.6563 0.7294 0.9360  4 O 1.50-1.62
P 0.8577 0.2214 0.5518  4 O 1.50-1.61
P 0.1423 0.7786 0.4482  4 O 1.50-1.61
P 0.2838 0.1459 0.4334  4 O 1.50-1.61
P 0.7162 0.8541 0.5666  4 O 1.50-1.61
P 0.7618 0.3412 0.0734  4 O 1.50-1.61
P 0.7294 0.6563 0.4360  4 O 1.50-1.62
P 0.3412 0.7618 0.5734  4 O 1.50-1.61
P 0.4514 0.5486 0.7500  4 O 1.50-1.60
P 0.0305 0.9695 0.2500  4 O 1.50-1.61
P 0.7786 0.1423 0.9482  4 O 1.50-1.61
P 0.8541 0.7162 0.0666  4 O 1.50-1.61
P 0.2382 0.6588 0.9266  4 O 1.50-1.61
P 0.3437 0.2706 0.0640  4 O 1.50-1.62
P 0.9603 0.5497 0.2898  4 O 1.50-1.61
P 0.1459 0.2838 0.9334  4 O 1.50-1.61
O 0.4534 0.4381 0.7356  1 P 1.50
O 0.5466 0.5619 0.2644  1 P 1.50
O 0.0601 0.5657 0.3111  1 P 1.50
O 0.6345 0.8549 0.8808  2 P 1.60-1.62
O 0.5940 0.9248 0.6413  2 P 1.61
O 0.5675 0.0267 0.1898  1 P 1.50
O 0.7898 0.2126 0.0581  2 P 1.60-1.61
O 0.8928 0.0994 0.6285  2 P 1.61
O 0.9733 0.4325 0.3102  1 P 1.50
O 0.8091 0.8226 0.6570  1 P 1.50
O 0.2148 0.6846 0.3589  1 P 1.50
O 0.1774 0.1909 0.8430  1 P 1.50
O 0.4343 0.9399 0.1889  1 P 1.50
O 0.6479 0.7117 0.3290  1 P 1.50
O 0.9006 0.1072 0.8715  2 P 1.61
O 0.9592 0.2232 0.4793  1 P 1.50
O 0.8326 0.3377 0.1795  1 P 1.50
O 0.0805 0.0317 0.7315  1 P 1.50
O 0.3655 0.1451 0.1192  2 P 1.60-1.62
O 0.0994 0.8928 0.1285  2 P 1.61
O 0.4060 0.0752 0.3587  2 P 1.61
O 0.6846 0.2148 0.8589  1 P 1.50
O 0.2561 0.2947 0.9553  2 P 1.60
O 0.6068 0.3701 0.3762  2 P 1.60-1.61
O 0.5619 0.5466 0.7644  1 P 1.50
O 0.2662 0.4465 0.4869  1 P 1.50
O 0.3521 0.2883 0.6710  1 P 1.50
O 0.9399 0.4343 0.6889  1 P 1.50
O 0.4325 0.9733 0.8102  1 P 1.50
O 0.7439 0.7053 0.0447  2 P 1.60
O 0.4381 0.4534 0.2356  1 P 1.50
O 0.6029 0.2304 0.5588  1 P 1.50
O 0.7053 0.7439 0.5447  2 P 1.60
O 0.0408 0.7768 0.5207  1 P 1.50
O 0.3154 0.7852 0.1411  1 P 1.50
O 0.6299 0.3932 0.1238  2 P 1.60-1.61
O 0.5535 0.7338 0.0131  1 P 1.50
O 0.1072 0.9006 0.3715  2 P 1.61
O 0.0752 0.4060 0.8587  2 P 1.61
O 0.6623 0.1674 0.3205  1 P 1.50
O 0.1674 0.6623 0.8205  1 P 1.50
O 0.8549 0.6345 0.3808  2 P 1.60-1.62
O 0.0267 0.5675 0.6898  1 P 1.50
O 0.2102 0.7874 0.9419  2 P 1.60-1.61
O 0.2232 0.9592 0.9793  1 P 1.50
O 0.8226 0.8091 0.1570  1 P 1.50
O 0.9683 0.9195 0.7685  1 P 1.50
O 0.3971 0.7696 0.4412  1 P 1.50
O 0.3377 0.8326 0.6795  1 P 1.50
O 0.0317 0.0805 0.2315  1 P 1.50
O 0.7696 0.3971 0.9412  1 P 1.50
O 0.2883 0.3521 0.1710  1 P 1.50
O 0.2947 0.2561 0.4553  2 P 1.60
O 0.7338 0.5535 0.5131  1 P 1.50
O 0.0834 0.2816 0.0622  1 P 1.50
O 0.1909 0.1774 0.3430  1 P 1.50
O 0.7768 0.0408 0.0207  1 P 1.50
O 0.7184 0.9166 0.4378  1 P 1.50
O 0.3701 0.6068 0.8762  2 P 1.60-1.61
O 0.3932 0.6299 0.6238  2 P 1.60-1.61
O 0.7117 0.6479 0.8290  1 P 1.50
O 0.2816 0.0834 0.5622  1 P 1.50
O 0.7852 0.3154 0.6411  1 P 1.50
O 0.2126 0.7898 0.5581  2 P 1.60-1.61
O 0.1451 0.3655 0.6192  2 P 1.60-1.62
O 0.2304 0.6029 0.0588  1 P 1.50
O 0.7874 0.2102 0.4419  2 P 1.60-1.61
O 0.9248 0.5940 0.1413  2 P 1.61
O 0.4465 0.2662 0.9869  1 P 1.50
O 0.9166 0.7184 0.9378  1 P 1.50
O 0.9195 0.9683 0.2685  1 P 1.50
O 0.5657 0.0601 0.8111  1 P 1.50
Gd 0.2546 0.0125 0.7658  6 O 2.27-2.35
Gd 0.0125 0.2546 0.2658  6 O 2.27-2.35
Gd 0.2481 0.5189 0.2693  6 O 2.27-2.35
Gd 0.5189 0.2481 0.7693  6 O 2.27-2.35
Gd 0.7519 0.4811 0.7307  6 O 2.27-2.35
Gd 0.4811 0.7519 0.2307  6 O 2.27-2.35
Gd 0.9875 0.7454 0.7342  6 O 2.27-2.35
Gd 0.7454 0.9875 0.2342  6 O 2.27-2.35

---

Quick one: least stable of them? A